1.
The following is a PBE calculation of a relaxed MgH8C3N2O6 crystal, from the Materials Project database.

Values from the calculation:
- formation enthalpy at 0 K (eV/atom) = -1.102

Lattice parameters (Å, degrees): 7.434 8.050 14.049 90.00 90.00 90.00
Space group P2_12_12_1 (No. 19)
Symmetry-distinct sites (fractional):
Mg 0.242 0.221 0.335
H 0.009 0.512 0.284
H 0.018 0.174 0.517
H 0.029 0.567 0.693
H 0.100 0.811 0.535
H 0.211 0.218 0.103
H 0.218 0.060 0.021
H 0.221 0.238 0.900
H 0.225 0.402 0.970
C 0.004 0.513 0.765
C 0.007 0.804 0.004
C 0.008 0.444 0.215
N 0.174 0.284 0.964
N 0.241 0.818 0.536
O 0.080 0.363 0.426
O 0.084 0.003 0.352
O 0.089 0.574 0.834
O 0.100 0.310 0.212
O 0.108 0.895 0.730
O 0.122 0.885 0.955


2.
The following is a PBE calculation of a relaxed Mg3H13C9NO13 crystal, from the Materials Project database.

Values from the calculation:
- formation enthalpy at 0 K (eV/atom) = -1.260

Lattice parameters (Å, degrees): 11.604 10.101 18.627 90.00 127.27 90.00
Space group P2_1/c (No. 14)
Symmetry-distinct sites (fractional):
Mg 0.000 0.000 0.000
Mg 0.070 0.113 0.309
Mg 0.120 0.079 0.865
Mg 0.500 0.000 0.000
H 0.019 0.111 0.459
H 0.030 0.748 0.877
H 0.242 0.716 0.273
H 0.251 0.054 0.716
H 0.256 0.219 0.681
H 0.268 0.659 0.577
H 0.296 0.040 0.269
H 0.368 0.248 0.601
H 0.383 0.583 0.099
H 0.413 0.151 0.783
H 0.465 0.709 0.794
H 0.475 0.116 0.607
H 0.489 0.212 0.476
C 0.014 0.668 0.832
C 0.030 0.217 0.450
C 0.187 0.016 0.208
C 0.264 0.639 0.321
C 0.274 0.593 0.532
C 0.319 0.128 0.714
C 0.343 0.556 0.139
C 0.372 0.229 0.435
C 0.439 0.166 0.643
N 0.365 0.074 0.663
O 0.022 0.202 0.997
O 0.050 0.246 0.390
O 0.055 0.197 0.752
O 0.064 0.556 0.867
O 0.087 0.006 0.217
O 0.151 0.578 0.304
O 0.160 0.524 0.475
O 0.172 0.002 0.136
O 0.286 0.639 0.157
O 0.290 0.131 0.397
O 0.332 0.151 0.932
O 0.389 0.594 0.539
O 0.392 0.617 0.387


3.
The following is a PBE calculation of a relaxed MgH10C4N4O6 crystal, from the Materials Project database.

Values from the calculation:
- formation enthalpy at 0 K (eV/atom) = -0.994

Lattice parameters (Å, degrees): 17.358 17.163 15.488 90.00 122.95 90.00
Space group C2/c (No. 15)
Symmetry-distinct sites (fractional):
Mg 0.003 0.245 0.496
Mg 0.246 0.494 0.004
H 0.000 0.009 0.608
H 0.006 0.474 0.326
H 0.049 0.451 0.111
H 0.054 0.096 0.671
H 0.060 0.108 0.188
H 0.064 0.273 0.332
H 0.077 0.362 0.676
H 0.092 0.097 0.983
H 0.096 0.407 0.512
H 0.115 0.348 0.938
H 0.147 0.112 0.321
H 0.153 0.153 0.826
H 0.156 0.357 0.811
H 0.178 0.151 0.544
H 0.184 0.272 0.401
H 0.195 0.242 0.893
H 0.199 0.249 0.186
H 0.202 0.463 0.188
H 0.227 0.024 0.678
H 0.240 0.249 0.679
C 0.100 0.384 0.987
C 0.106 0.252 0.736
C 0.108 0.002 0.259
C 0.121 0.109 0.506
C 0.121 0.266 0.244
C 0.135 0.479 0.264
C 0.149 0.140 0.022
C 0.151 0.364 0.530
N 0.053 0.473 0.174
N 0.055 0.036 0.669
N 0.102 0.080 0.257
N 0.113 0.330 0.742
N 0.123 0.270 0.333
N 0.153 0.213 0.826
N 0.202 0.263 0.252
N 0.210 0.475 0.257
O 0.039 0.360 0.000
O 0.041 0.133 0.475
O 0.044 0.264 0.158
O 0.058 0.216 0.651
O 0.131 0.206 0.044
O 0.136 0.293 0.540
O 0.140 0.039 0.497
O 0.141 0.490 0.348
O 0.146 0.446 0.025
O 0.164 0.036 0.841
O 0.224 0.390 0.540
O 0.227 0.119 0.042


Q: What is the formation enthalpy at 0 K in the second record?
A: -1.260 eV/atom


Q: Which of these has the lowest formation enthalpy at 0 K?
A: Mg3H13C9NO13